## Cr2Cu3O12F12 (PBE+U)

Data for crystalline Cr2Cu3O12F12 at its relaxed geometry.

For the relative energy among the computed polymorphs, the calculation gives 0.000 eV per atom. The energy is -0.3488 Ry per atom. For the formation enthalpy at 0 K, the calculation gives -1.212 eV/atom.

Cell lengths 7.743, 7.797, 7.894 Å; angles 95.87, 93.39, 96.60 degrees
Fractional positions:
1 Cr 0.000 0.000 0.000
2 Cr 0.498 0.503 0.501
3 Cu 0.008 0.501 0.499
4 Cu 0.497 0.502 0.000
5 Cu 0.499 0.002 0.500
6 O 0.005 0.327 0.653
7 O 0.066 0.476 0.732
8 O 0.256 0.046 0.498
9 O 0.273 0.579 0.037
10 O 0.327 0.071 0.652
11 O 0.380 0.707 0.002
12 O 0.613 0.299 0.000
13 O 0.670 0.934 0.349
14 O 0.721 0.428 0.965
15 O 0.740 0.959 0.503
16 O 0.935 0.527 0.271
17 O 0.996 0.677 0.351
18 F 0.054 0.219 0.950
19 F 0.059 0.913 0.793
20 F 0.221 0.003 0.084
21 F 0.268 0.424 0.424
22 F 0.427 0.727 0.542
23 F 0.440 0.456 0.722
24 F 0.551 0.549 0.280
25 F 0.566 0.279 0.460
26 F 0.725 0.583 0.579
27 F 0.778 0.997 0.914
28 F 0.940 0.087 0.206
29 F 0.945 0.780 0.049